Entry 1:
Entry from Materials Project: a geometry-optimized SrCd2H16Cl6O8 structure (PBE).

Cell: 8.0658 9.9036 12.0373 Å, 73.04 79.73 88.49°
Sites, in units of the cell vectors:
Sr 0.0270 0.3356 0.4154
Sr 0.9730 0.6644 0.5846
Cd 0.1094 0.8167 0.0701
Cd 0.3955 0.1868 0.9251
Cd 0.6045 0.8132 0.0749
Cd 0.8906 0.1833 0.9299
H 0.0214 0.8528 0.7484
H 0.1202 0.0574 0.3065
H 0.1281 0.5489 0.8256
H 0.1489 0.1466 0.6466
H 0.1820 0.4082 0.6055
H 0.2446 0.3303 0.1822
H 0.2802 0.6017 0.7241
H 0.2860 0.7966 0.3798
H 0.3090 0.1516 0.5527
H 0.3134 0.4768 0.1776
H 0.3133 0.8859 0.4628
H 0.3217 0.4393 0.4925
H 0.3543 0.8613 0.6873
H 0.4179 0.6245 0.5392
H 0.4613 0.1665 0.3063
H 0.4991 0.4623 0.3557
H 0.5009 0.5377 0.6443
H 0.5387 0.8335 0.6937
H 0.5821 0.3755 0.4608
H 0.6457 0.1387 0.3127
H 0.6783 0.5607 0.5075
H 0.6867 0.1141 0.5372
H 0.6866 0.5232 0.8224
H 0.6910 0.8484 0.4473
H 0.7140 0.2034 0.6202
H 0.7198 0.3983 0.2759
H 0.7554 0.6697 0.8178
H 0.8180 0.5918 0.3945
H 0.8511 0.8534 0.3534
H 0.8719 0.4511 0.1744
H 0.8798 0.9426 0.6935
H 0.9786 0.1472 0.2516
Cl 0.0704 0.6649 0.2899
Cl 0.1243 0.3290 0.9807
Cl 0.1495 0.0189 0.8647
Cl 0.3320 0.9891 0.1240
Cl 0.3755 0.6762 0.0147
Cl 0.4624 0.3176 0.7087
Cl 0.5376 0.6824 0.2913
Cl 0.6245 0.3238 0.9853
Cl 0.6680 0.0109 0.8760
Cl 0.8505 0.9811 0.1353
Cl 0.8757 0.6710 0.0193
Cl 0.9296 0.3351 0.7101
O 0.0533 0.1408 0.3083
O 0.1617 0.6201 0.7484
O 0.1865 0.1563 0.5623
O 0.2125 0.4750 0.5253
O 0.2307 0.8250 0.4488
O 0.2745 0.3834 0.2326
O 0.4658 0.9058 0.6556
O 0.4944 0.3687 0.4158
O 0.5056 0.6313 0.5842
O 0.5342 0.0942 0.3444
O 0.7255 0.6166 0.7674
O 0.7693 0.1750 0.5512
O 0.7875 0.5250 0.4747
O 0.8135 0.8437 0.4377
O 0.8383 0.3799 0.2516
O 0.9467 0.8592 0.6917

- Uncorrected energy: -291.355 eV/cell
- M_tot: 0.000 μB/atom

=====

Entry 2:
Entry from Materials Project: a geometry-optimized CdIClO3 structure (PBE).

Cell: 9.0263 9.0263 7.4484 Å, 90.00 90.00 131.59°
Sites, in units of the cell vectors:
Cd 0.1475 0.3525 0.2500
Cd 0.3525 0.1475 0.7500
Cd 0.6475 0.8525 0.2500
Cd 0.8525 0.6475 0.7500
I 0.0961 0.9039 0.2780
I 0.4039 0.5961 0.7780
I 0.5961 0.4039 0.2220
I 0.9039 0.0961 0.7220
Cl 0.2062 0.7938 0.8329
Cl 0.2938 0.7062 0.3329
Cl 0.7062 0.2938 0.6671
Cl 0.7938 0.2062 0.1671
O 0.0143 0.9857 0.7778
O 0.0941 0.2889 0.5648
O 0.2111 0.4059 0.9352
O 0.2889 0.0941 0.4352
O 0.4059 0.2111 0.0648
O 0.4857 0.5143 0.2778
O 0.5143 0.4857 0.7222
O 0.5941 0.7889 0.9352
O 0.7111 0.9059 0.5648
O 0.7889 0.5941 0.0648
O 0.9059 0.7111 0.4352
O 0.9857 0.0143 0.2222

- Uncorrected energy: -93.215 eV/cell
- M_tot: 0.000 μB/atom

=====

Entry 3:
Entry from Materials Project: a geometry-optimized K4CdCl6 structure (PBE).

Cell: 8.7262 8.7262 8.7262 Å, 89.87 89.87 89.87°
Sites, in units of the cell vectors:
K 0.1265 0.7500 0.3735
K 0.2500 0.2500 0.2500
K 0.2500 0.6265 0.8735
K 0.3735 0.1265 0.7500
K 0.6265 0.8735 0.2500
K 0.7500 0.3735 0.1265
K 0.7500 0.7500 0.7500
K 0.8735 0.2500 0.6265
Cd 0.0000 0.0000 0.0000
Cd 0.5000 0.5000 0.5000
Cl 0.0565 0.9297 0.7063
Cl 0.0703 0.2937 0.9435
Cl 0.2063 0.4297 0.5565
Cl 0.2937 0.9435 0.0703
Cl 0.4297 0.5565 0.2063
Cl 0.4435 0.7937 0.5703
Cl 0.5565 0.2063 0.4297
Cl 0.5703 0.4435 0.7937
Cl 0.7063 0.0565 0.9297
Cl 0.7937 0.5703 0.4435
Cl 0.9297 0.7063 0.0565
Cl 0.9435 0.0703 0.2937

- Uncorrected energy: -70.930 eV/cell

=====

Entry 4:
Entry from Materials Project: a geometry-optimized KCdCl3O structure (PBE).

Cell: 7.9692 4.0225 19.1866 Å, 90.00 90.00 90.00°
Sites, in units of the cell vectors:
K 0.0957 0.2500 0.1962
K 0.4043 0.7500 0.6962
K 0.5957 0.2500 0.3038
K 0.9043 0.7500 0.8038
Cd 0.0419 0.7500 0.4099
Cd 0.4581 0.2500 0.9099
Cd 0.5419 0.7500 0.0901
Cd 0.9581 0.2500 0.5901
Cl 0.1073 0.2500 0.7084
Cl 0.1628 0.7500 0.5410
Cl 0.2424 0.2500 0.3736
Cl 0.2576 0.7500 0.8736
Cl 0.3372 0.2500 0.0410
Cl 0.3927 0.7500 0.2084
Cl 0.6073 0.2500 0.7916
Cl 0.6628 0.7500 0.9590
Cl 0.7424 0.2500 0.1264
Cl 0.7576 0.7500 0.6264
Cl 0.8372 0.2500 0.4590
Cl 0.8927 0.7500 0.2916
O 0.0282 0.7500 0.0815
O 0.4718 0.2500 0.5815
O 0.5282 0.7500 0.4185
O 0.9718 0.2500 0.9185

- Uncorrected energy: -67.176 eV/cell
- M_tot: 0.333 μB/atom